# AgSb3PbS6

Crystalline AgSb3PbS6 at its relaxed geometry (PBE-GGA, the Materials Project).

Cell lengths 4.212, 6.853, 19.351 Å; angles 90.00, 90.00, 72.11 degrees
Fractional positions:
Ag 0.411 0.178 0.630
Ag 0.589 0.822 0.130
Sb 0.858 0.284 0.058
Sb 0.881 0.239 0.451
Sb 0.382 0.235 0.866
Sb 0.618 0.765 0.366
Sb 0.142 0.716 0.558
Sb 0.119 0.761 0.951
S 0.011 0.979 0.841
S 0.961 0.078 0.163
S 0.516 0.969 0.005
S 0.747 0.506 0.593
S 0.259 0.482 0.399
S 0.318 0.364 0.746
S 0.484 0.031 0.505
S 0.253 0.494 0.093
S 0.989 0.021 0.341
S 0.682 0.636 0.246
S 0.039 0.922 0.663
S 0.741 0.518 0.899
Pb 0.665 0.669 0.740
Pb 0.335 0.331 0.240

Spin magnetization = 0.000 μB per atom
Symmetry = Cmc2_1, No. 36
Excess energy over the best structure of this formula in the dataset = 0.345 eV/f.u.
Energy relative to the elements = -0.517 eV per atom
Calculated density = 5453 kg/m3



# TbInAu

Crystalline TbInAu at its relaxed geometry (PBE-GGA, the Materials Project).

Cell lengths 7.773, 7.773, 4.036 Å; angles 90.00, 90.00, 120.00 degrees
Fractional positions:
Tb 0.596 0.000 0.500
Tb 0.404 0.404 0.500
Tb 0.000 0.596 0.500
Au 0.000 0.000 0.500
Au 0.333 0.667 0.000
Au 0.667 0.333 0.000
In 0.740 0.740 0.000
In 0.260 0.000 0.000
In 0.000 0.260 0.000

Symmetry = P-62m, No. 189
Energy relative to the elements = -0.745 eV per atom
Calculated density = 11102 kg/m3



# LiSiBiO4

Crystalline LiSiBiO4 at its relaxed geometry (PBE-GGA, the Materials Project).

Cell lengths 5.505, 7.254, 10.471 Å; angles 90.00, 90.00, 90.00 degrees
Fractional positions:
Si 0.251 0.261 0.910
Si 0.251 0.239 0.410
Si 0.751 0.761 0.590
Si 0.751 0.739 0.090
O 0.538 0.294 0.875
O 0.693 0.757 0.436
O 0.693 0.743 0.936
O 0.591 0.927 0.659
O 0.591 0.573 0.159
O 0.538 0.206 0.375
O 0.193 0.257 0.064
O 0.173 0.442 0.349
O 0.038 0.794 0.625
O 0.091 0.427 0.841
O 0.091 0.073 0.341
O 0.673 0.942 0.151
O 0.173 0.058 0.849
O 0.038 0.706 0.125
O 0.193 0.243 0.564
O 0.673 0.558 0.651
Li 0.249 0.492 0.157
Li 0.749 0.992 0.343
Li 0.249 0.008 0.657
Li 0.749 0.508 0.843
Bi 0.750 0.481 0.342
Bi 0.750 0.019 0.842
Bi 0.250 0.519 0.658
Bi 0.250 0.981 0.158

Spin magnetization = 0.000 μB per atom
Symmetry = Pna2_1, No. 33
Excess energy over the best structure of this formula in the dataset = 0.505 eV/f.u.
Energy relative to the elements = -2.453 eV per atom
Calculated density = 4893 kg/m3